[1]
A plane-wave DFT calculation with PBE+U was carried out for a relaxed Li4Nb3V2Fe3O16 crystal.

Structure (extended XYZ):
```
28
Lattice="6.106 0.000 0.000 -3.046 5.328 0.000 -0.185 -0.149 9.820" Properties=species:S:1:pos:R:3 pbc="T T T"
Li 0.000 0.000 0.000
Li -0.016 -0.049 5.047
Li -0.040 3.468 8.795
Li 3.110 1.773 4.089
Nb -1.359 4.507 2.216
Nb 0.161 1.868 2.216
Nb 1.578 0.886 7.128
V 0.096 3.638 5.012
V 3.132 1.767 9.700
Fe 1.622 4.492 2.233
Fe 3.041 3.475 7.124
Fe 4.578 0.877 7.119
O 0.007 0.030 8.052
O 0.189 0.113 3.226
O -1.253 2.817 3.401
O 0.085 1.759 6.033
O -1.442 4.518 5.979
O 0.032 3.549 1.096
O 1.635 0.941 1.148
O 1.388 2.753 3.474
O 0.022 5.164 3.463
O 1.646 2.391 8.502
O 3.034 0.141 8.355
O 3.060 1.657 6.023
O 1.566 4.471 5.976
O 4.793 1.022 1.121
O 3.301 3.702 1.110
O 4.396 2.455 8.395
```

Summary:
SG: P1

[2]
A plane-wave DFT calculation with PBE+U was carried out for a relaxed Li4NbFeW2O12 crystal.

Structure (extended XYZ):
```
40
Lattice="0.005 2.934 -4.270 0.606 6.218 4.285 10.978 0.000 -0.013" Properties=species:S:1:pos:R:3 pbc="T T T"
Li 3.400 1.690 1.155
Li 8.889 1.690 1.149
Li 6.329 6.474 1.321
Li 0.840 6.474 1.328
Li 3.715 7.941 -0.791
Li 9.204 7.941 -0.798
Li 0.296 3.042 -1.076
Li 5.785 3.043 -1.083
Nb 3.150 4.663 0.056
Nb 8.639 4.663 0.049
Fe 5.543 2.938 -4.271
Fe 0.053 2.937 -4.265
W 0.408 6.024 -2.121
W 5.897 6.024 -2.128
W 2.737 1.548 -2.117
W 8.226 1.548 -2.124
O 4.678 3.569 0.525
O 10.166 3.569 0.519
O 5.832 4.910 2.627
O 11.321 4.910 2.621
O 6.536 1.227 -1.183
O 1.046 1.227 -1.178
O 7.414 3.203 1.049
O 1.925 3.204 1.055
O 7.719 8.102 0.587
O 2.230 8.102 0.594
O 8.620 5.740 1.603
O 3.131 5.740 1.610
O 8.298 3.368 -1.615
O 2.809 3.368 -1.608
O 9.227 0.879 -0.646
O 3.738 0.879 -0.639
O 9.561 5.855 -1.129
O 4.072 5.855 -1.122
O 10.376 7.843 1.034
O 4.887 7.843 1.040
O 10.986 4.197 -2.685
O 5.497 4.197 -2.678
O 1.289 5.458 -0.545
O 6.778 5.458 -0.551
```

Summary:
Maximum piezoelectric response (C/m²): 3.76

[3]
A plane-wave DFT calculation with PBE+U was carried out for a relaxed Li2Fe3NiO8 crystal.

Structure (extended XYZ):
```
56
Lattice="8.360 0.000 0.000 0.000 8.360 0.000 0.000 0.000 8.360" Properties=species:S:1:pos:R:3 pbc="T T T"
Li 0.011 0.011 0.011
Li 2.079 2.079 2.079
Li 2.101 6.282 6.259
Li 4.169 8.349 4.192
Li 4.192 4.169 8.349
Li 6.259 2.101 6.282
Li 6.282 6.259 2.101
Li 8.349 4.192 4.169
Fe 1.021 5.225 1.069
Fe 1.045 3.111 7.339
Fe 1.069 1.021 5.225
Fe 3.111 7.339 1.045
Fe 3.135 5.249 3.159
Fe 3.159 3.135 5.249
Fe 5.201 7.315 7.291
Fe 5.225 1.069 1.021
Fe 5.249 3.159 3.135
Fe 7.291 5.201 7.315
Fe 7.315 7.291 5.201
Fe 7.339 1.045 3.111
Ni 1.045 7.315 3.135
Ni 3.135 1.045 7.315
Ni 5.225 5.225 5.225
Ni 7.315 3.135 1.045
O 0.850 3.207 0.994
O 0.945 5.126 7.415
O 0.973 7.366 5.030
O 0.994 0.850 3.207
O 1.096 7.244 1.240
O 1.117 5.420 3.084
O 1.145 3.036 5.325
O 1.240 1.096 7.244
O 2.940 7.264 3.063
O 3.036 5.325 1.145
O 3.063 2.940 7.264
O 3.084 1.117 5.420
O 3.186 7.510 7.387
O 3.207 0.994 0.850
O 3.235 3.235 3.235
O 3.330 5.154 5.174
O 5.030 0.973 7.366
O 5.126 7.415 0.945
O 5.154 5.174 3.330
O 5.174 3.330 5.154
O 5.276 5.297 7.120
O 5.297 7.120 5.276
O 5.325 1.145 3.036
O 5.420 3.084 1.117
O 7.120 5.276 5.297
O 7.216 7.216 7.216
O 7.244 1.240 1.096
O 7.264 3.063 2.940
O 7.366 5.030 0.973
O 7.387 3.186 7.510
O 7.415 0.945 5.126
O 7.510 7.387 3.186
```

Summary:
SG: P4_332

Which ΔE_f belongs to each record? In order, -2427, -2373, -1569 meV/atom.